Entry 1:
The following is a DFT calculation (r²SCAN) of a relaxed Cr7C3 crystal.

Geometry as POSCAR:
```
Cr7C3
1.0
4.475 0.000 0.000
0.000 6.904 0.000
0.000 0.000 11.944
Cr C
28 12
Cartesian
0.248 1.726 1.514 Cr
0.251 0.448 3.718 Cr
0.251 3.003 3.718 Cr
1.069 5.178 4.980 Cr
1.084 1.726 8.409 Cr
1.114 3.911 0.244 Cr
1.114 6.445 0.244 Cr
1.124 0.459 6.216 Cr
1.124 2.993 6.216 Cr
1.153 5.178 2.437 Cr
1.169 1.726 10.952 Cr
1.986 3.900 9.690 Cr
1.986 6.455 9.690 Cr
1.990 5.178 7.486 Cr
2.485 1.726 4.457 Cr
2.489 0.448 2.253 Cr
2.489 3.003 2.253 Cr
3.306 5.178 0.991 Cr
3.322 1.726 9.507 Cr
3.351 3.911 5.728 Cr
3.351 6.445 5.728 Cr
3.362 0.459 11.700 Cr
3.362 2.993 11.700 Cr
3.391 5.178 3.535 Cr
3.406 1.726 6.963 Cr
4.224 3.900 8.225 Cr
4.224 6.455 8.225 Cr
4.227 5.178 10.429 Cr
0.152 0.231 10.089 C
0.152 3.221 10.089 C
0.158 5.178 6.734 C
2.080 1.726 0.763 C
2.085 3.683 4.117 C
2.085 6.673 4.117 C
2.390 0.231 7.827 C
2.390 3.221 7.827 C
2.396 5.178 11.181 C
4.317 1.726 5.209 C
4.323 3.683 1.855 C
4.323 6.673 1.855 C
```

Entry 2:
The following is a DFT calculation (r²SCAN) of a relaxed Cr3C crystal.

Geometry as POSCAR:
```
Cr3C
1.0
5.190 0.000 0.000
0.000 6.592 0.000
0.000 0.000 4.475
Cr C
12 4
Cartesian
0.135 1.648 0.696 Cr
0.903 0.373 2.957 Cr
0.903 2.923 2.957 Cr
1.692 3.669 0.719 Cr
1.692 6.219 0.719 Cr
2.460 4.944 2.933 Cr
2.730 1.648 1.542 Cr
3.498 0.373 3.756 Cr
3.498 2.923 3.756 Cr
4.287 3.669 1.518 Cr
4.287 6.219 1.518 Cr
5.055 4.944 3.779 Cr
0.657 4.944 1.921 C
1.938 1.648 4.159 C
3.252 4.944 0.316 C
4.533 1.648 2.553 C
```

Entry 3:
The following is a DFT calculation (r²SCAN) of a relaxed Dy2Cr2C3 crystal.

Geometry as POSCAR:
```
Dy2Cr2C3
1.0
10.401 0.000 0.000
0.000 3.378 0.000
-1.480 0.000 5.327
Dy Cr C
4 4 6
Cartesian
0.624 0.000 1.686 Dy
3.096 1.689 3.641 Dy
5.825 1.689 1.686 Dy
8.297 0.000 3.641 Dy
0.312 1.689 4.731 Cr
3.408 0.000 0.596 Cr
5.512 0.000 4.731 Cr
8.609 1.689 0.596 Cr
0.000 1.689 0.000 C
1.076 0.000 4.110 C
2.644 1.689 1.217 C
5.200 0.000 0.000 C
6.276 1.689 4.110 C
7.845 0.000 1.217 C
```

Electronic total energy, respectively: -13.45, -13.67, -18.06 eV per atom.
Calculated formation energy, respectively: 0.089, 0.127, -0.355 eV per atom.